FeCoAs4 | PBE | optimized geometry

Unit cell a=2.9697 b=5.2207 c=5.9420 alpha=89.94 beta=90.00 gamma=90.00
Atoms (fractional coordinates):
As  0.5000  0.3171  0.1373
As  0.5000  0.6829  0.8627
As  0.0000  0.1820  0.6391
As  0.0000  0.8180  0.3609
Fe  0.0000  0.0000  0.0000
Co  0.5000  0.5000  0.5000

**Crystal system**: monoclinic
**Formation enthalpy at 0 K**: -284 meV/atom
**Calculated total energy**: -5.99 eV per atom
**Space group**: P2/m